{
  "formula": "KCa5Mg5AlSi12O36",
  "functional": "GGA-PBE",
  "state": "optimized geometry",
  "rho_g_cm3": 3.18,
  "total_energy_ev_per_atom": -7.326,
  "vol_a3_per_cell": 678.73,
  "formation_enthalpy_0k_ev_per_atom": -3.3027,
  "cell": [[4.907, -4.508, 0.000], [4.907, 4.508, 0.000], [-4.393, 0.000, 15.343]],
  "species": ["K", "Ca", "Ca", "Ca", "Ca", "Ca", "Mg", "Mg", "Mg", "Mg", "Mg", "Al", "Si", "Si", "Si", "Si", "Si", "Si", "Si", "Si", "Si", "Si", "Si", "Si", "O", "O", "O", "O", "O", "O", "O", "O", "O", "O", "O", "O", "O", "O", "O", "O", "O", "O", "O", "O", "O", "O", "O", "O", "O", "O", "O", "O", "O", "O", "O", "O", "O", "O", "O", "O"],
  "fractional_positions": [[0.000, 0.000, 0.000], [0.002, 0.993, 0.332], [0.007, 0.998, 0.668], [0.605, 0.389, 0.168], [0.606, 0.394, 0.500], [0.611, 0.395, 0.832], [0.209, 0.789, 0.834], [0.211, 0.791, 0.166], [0.212, 0.788, 0.500], [0.396, 0.602, 0.666], [0.398, 0.604, 0.334], [0.400, 0.600, 0.000], [0.111, 0.315, 0.506], [0.112, 0.319, 0.843], [0.117, 0.318, 0.176], [0.496, 0.073, 0.326], [0.498, 0.075, 0.660], [0.501, 0.072, 0.991], [0.681, 0.888, 0.157], [0.682, 0.883, 0.824], [0.685, 0.889, 0.494], [0.925, 0.502, 0.340], [0.927, 0.504, 0.674], [0.928, 0.499, 0.009], [0.101, 0.668, 0.370], [0.104, 0.670, 0.702], [0.127, 0.641, 0.035], [0.189, 0.083, 0.475], [0.191, 0.086, 0.816], [0.214, 0.092, 0.153], [0.278, 0.491, 0.536], [0.279, 0.499, 0.204], [0.284, 0.495, 0.879], [0.330, 0.896, 0.298], [0.332, 0.899, 0.630], [0.359, 0.873, 0.965], [0.418, 0.307, 0.692], [0.421, 0.306, 0.356], [0.421, 0.311, 0.018], [0.501, 0.721, 0.796], [0.505, 0.716, 0.121], [0.509, 0.722, 0.464], [0.628, 0.063, 0.909], [0.635, 0.066, 0.581], [0.637, 0.051, 0.248], [0.662, 0.041, 0.084], [0.673, 0.026, 0.415], [0.674, 0.025, 0.747], [0.689, 0.579, 0.982], [0.693, 0.582, 0.308], [0.694, 0.579, 0.644], [0.908, 0.786, 0.847], [0.914, 0.809, 0.184], [0.917, 0.811, 0.525], [0.934, 0.365, 0.419], [0.937, 0.372, 0.091], [0.949, 0.363, 0.752], [0.959, 0.338, 0.916], [0.974, 0.327, 0.585], [0.975, 0.326, 0.253]]
}